This record from Materials Project describes a geometry-optimized Li9Mn2Co5O16 structure. The functional is GGA+U.

abc: 7.7432 7.7432 5.1606
angles: 77.14 77.14 98.00
Closest atoms and distances in Å follow each position.
Positions (direct):
Li  0.6217  0.3783  0.5000  6 O 2.15-2.18
Li  0.7460  0.7460  0.5092  6 O 2.05-2.23
Li  0.8773  0.1227  0.5000  6 O 2.10-2.15
Li  0.0000  0.5000  0.5000  6 O 2.05-2.24
Li  0.1227  0.8773  0.5000  6 O 2.10-2.15
Li  0.2540  0.2540  0.4908  6 O 2.05-2.23
Li  0.3783  0.6217  0.5000  6 O 2.15-2.18
Li  0.5000  0.0000  0.5000  6 O 2.05-2.24
Li  0.5000  0.5000  0.0000  6 O 2.11-2.16
Mn  0.7489  0.2511  0.0000  6 O 1.92-1.97
Mn  0.2511  0.7489  0.0000  6 O 1.92-1.97
Co  0.8664  0.6235  0.9971  6 O 1.94-2.11
Co  0.0000  0.0000  0.0000  6 O 2.01-2.07
Co  0.1336  0.3765  0.0029  6 O 1.94-2.11
Co  0.3765  0.1336  0.0029  6 O 1.94-2.11
Co  0.6235  0.8664  0.9971  6 O 1.94-2.11
O  0.5143  0.2431  0.2312  1 Mn 1.92, 1 Co 2.00, 3 Li 2.05-2.15
O  0.6408  0.6408  0.2333  2 Co 1.94, 4 Li 2.05-2.16
O  0.7558  0.0110  0.2224  1 Mn 1.97, 2 Co 2.01-2.11, 2 Li 2.15
O  0.8754  0.3702  0.2201  1 Mn 1.95, 2 Co 2.05-2.06, 2 Li 2.13-2.18
O  0.0110  0.7558  0.2224  1 Mn 1.97, 2 Co 2.01-2.11, 2 Li 2.15
O  0.1288  0.1288  0.2377  3 Co 2.02-2.07, 3 Li 2.10-2.11
O  0.2431  0.5143  0.2312  1 Mn 1.92, 1 Co 2.00, 3 Li 2.05-2.15
O  0.3702  0.8754  0.2201  1 Mn 1.95, 2 Co 2.05-2.06, 2 Li 2.13-2.18
O  0.7569  0.4857  0.7688  1 Mn 1.92, 1 Co 2.00, 3 Li 2.05-2.15
O  0.8712  0.8712  0.7623  3 Co 2.02-2.07, 3 Li 2.10-2.11
O  0.9890  0.2442  0.7776  1 Mn 1.97, 2 Co 2.01-2.11, 2 Li 2.15
O  0.1246  0.6298  0.7799  1 Mn 1.95, 2 Co 2.05-2.06, 2 Li 2.13-2.18
O  0.2442  0.9890  0.7776  1 Mn 1.97, 2 Co 2.01-2.11, 2 Li 2.15
O  0.3592  0.3592  0.7667  2 Co 1.94, 4 Li 2.05-2.16
O  0.4857  0.7569  0.7688  1 Mn 1.92, 1 Co 2.00, 3 Li 2.05-2.15
O  0.6298  0.1246  0.7799  1 Mn 1.95, 2 Co 2.05-2.06, 2 Li 2.13-2.18

Output
The calculation puts the electronic total energy at -5.8374 eV/atom. The energy above the most stable polymorph in this dataset is 0.55 eV/f.u. The formation enthalpy at 0 K comes out at -1847 meV per atom.